VASP calculation (PBE+U) on crystalline Sr3CaCr2S2O5 at its relaxed geometry.

- DFT total energy: -83.87 eV per formula unit
- Density: 4.08 Mg/m³

Cell lengths 14.4074, 14.4074, 14.4074 Å; angles 164.11, 164.11, 22.55 degrees
Fractional coordinates of all 13 atoms:
S 0.8159 0.8159 0.0000
Sr 0.3694 0.3694 0.0000
Sr 0.5000 0.5000 0.0000
Ca 0.7500 0.2500 0.5000
S 0.1841 0.1841 0.0000
O 0.9242 0.4242 0.5000
Sr 0.6306 0.6306 0.0000
O 0.4244 0.9244 0.5000
Cr 0.0676 0.0676 0.0000
O 0.0000 0.0000 0.0000
O 0.0756 0.5756 0.5000
Cr 0.9324 0.9324 0.0000
O 0.5758 0.0758 0.5000


VASP calculation (PBE+U) on crystalline Ba2V2CuClO7 at its relaxed geometry.

- DFT total energy: -86.65 eV per formula unit
- Density: 4.27 Mg/m³

Cell lengths 9.1007, 9.1007, 5.5118 Å; angles 90.00, 90.00, 90.00 degrees
Fractional coordinates of all 26 atoms:
Ba 0.8226 0.3226 0.3855
O 0.5000 0.0000 0.0703
Ba 0.1774 0.6774 0.3855
V 0.1304 0.3696 0.9276
Cu 0.0000 0.0000 0.9918
Cu 0.5000 0.5000 0.9918
O 0.2014 0.9113 0.0483
O 0.9113 0.7986 0.0483
Cl 0.0000 0.0000 0.5344
O 0.7014 0.5887 0.0483
O 0.0887 0.2014 0.0483
O 0.2986 0.4113 0.0483
V 0.8696 0.6304 0.9276
O 0.4113 0.7014 0.0483
O 0.7986 0.0887 0.0483
O 0.6255 0.1255 0.6116
O 0.3745 0.8745 0.6116
V 0.6304 0.1304 0.9276
Cl 0.5000 0.5000 0.5344
V 0.3696 0.8696 0.9276
O 0.0000 0.5000 0.0703
O 0.1255 0.3745 0.6116
O 0.5887 0.2986 0.0483
Ba 0.6774 0.8226 0.3855
Ba 0.3226 0.1774 0.3855
O 0.8745 0.6255 0.6116


VASP calculation (PBE+U) on crystalline LiVF4 at its relaxed geometry.

- Energy above the lowest structure with this stoichiometry: 24 meV/atom
- DFT total energy: -34.27 eV per formula unit
- Density: 2.85 Mg/m³

Cell lengths 5.2919, 5.5353, 5.9281 Å; angles 63.78, 90.00, 90.00 degrees
Fractional coordinates of all 12 atoms:
F 0.7955 0.9071 0.5937
V 0.4996 0.7449 0.5043
F 0.2955 0.0929 0.4063
F 0.4185 0.5844 0.8529
Li 0.3218 0.2145 0.0259
F 0.5880 0.9165 0.1487
Li 0.8218 0.7855 0.9741
F 0.1979 0.5893 0.4337
F 0.9185 0.4156 0.1471
F 0.6979 0.4107 0.5663
V 0.9996 0.2551 0.4957
F 0.0880 0.0835 0.8513


VASP calculation (PBE+U) on crystalline Sr4Cr3O10 at its relaxed geometry.

- DFT total energy: -117.23 eV per formula unit
- Density: 5.20 Mg/m³

Cell lengths 14.4574, 14.4574, 14.4574 Å; angles 164.61, 164.61, 21.83 degrees
Fractional coordinates of all 17 atoms:
Sr 0.5673 0.5673 0.0000
Sr 0.7025 0.7025 0.0000
O 0.5000 0.0000 0.5000
Sr 0.4327 0.4327 0.0000
O 0.2087 0.2087 0.0000
O 0.9339 0.9339 0.0000
Cr 0.8607 0.8607 0.0000
O 0.3638 0.8638 0.5000
Cr 0.0000 0.0000 0.0000
O 0.6362 0.1362 0.5000
Sr 0.2975 0.2975 0.0000
O 0.1362 0.6362 0.5000
Cr 0.1393 0.1393 0.0000
O 0.0000 0.5000 0.5000
O 0.0661 0.0661 0.0000
O 0.7913 0.7913 0.0000
O 0.8638 0.3638 0.5000


VASP calculation (PBE+U) on crystalline LiVPO5 at its relaxed geometry.

- Energy above the lowest structure with this stoichiometry: 84 meV/atom
- DFT total energy: -56.67 eV per formula unit
- Density: 2.52 Mg/m³

Cell lengths 5.1472, 5.9876, 7.9654 Å; angles 112.04, 100.93, 90.01 degrees
Fractional coordinates of all 16 atoms:
O 0.1825 0.6185 0.8038
V 0.4999 0.7731 0.0000
O 0.5803 0.4177 0.8351
O 0.6817 0.9532 0.9065
O 0.7603 0.7443 0.4892
P 0.2825 0.3575 0.7148
O 0.3182 0.0468 0.0936
O 0.1827 0.1852 0.8038
O 0.4198 0.5824 0.1649
P 0.7176 0.6425 0.2852
O 0.2397 0.2557 0.5108
O 0.8175 0.3815 0.1961
Li 0.9426 0.8689 0.7379
V 0.5000 0.2269 0.0000
O 0.8174 0.8148 0.1962
Li 0.0575 0.1311 0.2621


VASP calculation (PBE+U) on crystalline Li2MnSi2O6 at its relaxed geometry.

- Energy above the lowest structure with this stoichiometry: 75 meV/atom
- DFT total energy: -78.11 eV per formula unit
- Density: 2.92 Mg/m³

Cell lengths 7.1800, 7.1800, 5.4101 Å; angles 71.69, 71.69, 84.67 degrees
Fractional coordinates of all 22 atoms:
Si 0.7921 0.6181 0.5519
Li 0.8042 0.1958 0.0000
Si 0.3819 0.2079 0.4481
O 0.6117 0.1497 0.3839
O 0.3894 0.8720 0.1081
O 0.9621 0.7895 0.4108
O 0.3484 0.3384 0.6685
Mn 0.8962 0.1038 0.5000
O 0.1280 0.6106 0.8919
O 0.8503 0.3883 0.6161
Si 0.2083 0.3883 0.9487
Li 0.8455 0.4855 0.1099
O 0.6645 0.6447 0.8551
Si 0.6117 0.7917 0.0513
Li 0.2122 0.7878 0.5000
Li 0.5145 0.1545 0.8901
O 0.3553 0.3355 0.1449
Mn 0.1303 0.8697 0.0000
O 0.6616 0.6516 0.3315
O 0.0213 0.2394 0.0907
O 0.2105 0.0379 0.5892
O 0.7606 0.9787 0.9093


VASP calculation (PBE+U) on crystalline LiVF4 at its relaxed geometry.

- Energy above the lowest structure with this stoichiometry: 12 meV/atom
- DFT total energy: -34.35 eV per formula unit
- Density: 3.11 Mg/m³

Cell lengths 5.0446, 7.4548, 7.7751 Å; angles 77.95, 90.00, 90.00 degrees
Fractional coordinates of all 24 atoms:
F 0.0558 0.3051 0.0422
F 0.4442 0.8051 0.0422
F 0.0912 0.0596 0.8067
F 0.9379 0.4065 0.6863
F 0.0636 0.8001 0.6016
Li 0.7564 0.1407 0.6252
F 0.0621 0.5935 0.3137
F 0.4379 0.0935 0.3137
F 0.5636 0.6999 0.3984
F 0.9364 0.1999 0.3984
F 0.9442 0.6949 0.9578
F 0.5621 0.9065 0.6863
F 0.4088 0.5596 0.8067
Li 0.7436 0.6407 0.6252
F 0.5558 0.1949 0.9578
Li 0.2564 0.3593 0.3748
F 0.5912 0.4404 0.1933
Li 0.2436 0.8593 0.3748
V 0.2545 0.8089 0.8171
V 0.7545 0.6911 0.1829
V 0.2455 0.3089 0.8171
F 0.9088 0.9404 0.1933
F 0.4364 0.3001 0.6016
V 0.7455 0.1911 0.1829


VASP calculation (PBE+U) on crystalline Ba11W4O23 at its relaxed geometry.

- Energy above the lowest structure with this stoichiometry: 0 meV/atom
- DFT total energy: -260.34 eV per formula unit
- Density: 6.22 Mg/m³

Cell lengths 12.5366, 12.6873, 12.5885 Å; angles 60.58, 58.53, 59.19 degrees
Fractional coordinates of all 76 atoms:
O 0.3842 0.6080 0.3919
Ba 0.2462 0.2275 0.7902
O 0.5928 0.8970 0.6125
O 0.8289 0.5815 0.1346
W 0.4559 0.9983 0.0178
O 0.1438 0.4168 0.8729
O 0.0359 0.9369 0.1542
O 0.5795 0.3864 0.1311
Ba 0.1296 0.5776 0.6328
Ba 0.8519 0.4002 0.3794
Ba 0.6208 0.5579 0.1566
O 0.2757 0.0586 0.0750
Ba 0.7496 0.1864 0.7577
Ba 0.9897 0.1732 0.1766
O 0.5915 0.8736 0.4072
O 0.5623 0.4014 0.6481
O 0.8739 0.3938 0.6020
O 0.1192 0.3839 0.3922
O 0.3683 0.3996 0.1036
Ba 0.2347 0.2079 0.2438
O 0.0842 0.3857 0.6304
O 0.3761 0.1023 0.3895
O 0.8625 0.6132 0.6119
O 0.6078 0.3947 0.8913
O 0.0205 0.1738 0.3631
Ba 0.0672 0.7967 0.7790
O 0.8821 0.4102 0.0330
Ba 0.1964 0.8008 0.2982
Ba 0.1393 0.5996 0.1562
Ba 0.7338 0.7594 0.2271
O 0.8108 0.1915 0.5354
O 0.3716 0.1243 0.6032
Ba 0.3798 0.8384 0.8450
O 0.0506 0.1385 0.9388
O 0.0980 0.8992 0.9110
O 0.8450 0.1381 0.9377
O 0.9364 0.6425 0.8577
O 0.6036 0.6073 0.9104
Ba 0.6280 0.5920 0.6395
O 0.0269 0.0286 0.6240
O 0.0219 0.8254 0.5732
Ba 0.7667 0.7880 0.7427
Ba 0.8457 0.3850 0.8595
W 0.4846 0.0001 0.5022
O 0.0586 0.3652 0.1359
W 0.9869 0.5026 0.0041
Ba 0.1391 0.1581 0.6013
O 0.0878 0.5955 0.9833
Ba 0.3550 0.3898 0.3774
O 0.8373 0.9340 0.1390
O 0.3913 0.6169 0.8822
O 0.6027 0.1005 0.3786
O 0.8967 0.6104 0.3758
W 0.9665 0.0244 0.5110
O 0.1673 0.9548 0.3891
Ba 0.8315 0.8608 0.3876
O 0.5054 0.1296 0.9790
O 0.3579 0.9058 0.6246
O 0.8866 0.0214 0.4124
W 0.4813 0.4984 0.5155
O 0.1081 0.5999 0.4064
Ba 0.6012 0.1651 0.1444
W 0.4878 0.5044 0.0052
Ba 0.6283 0.1526 0.5476
O 0.3315 0.6095 0.6323
W 0.9880 0.4994 0.5035
O 0.3842 0.3787 0.5957
Ba 0.3480 0.4397 0.8680
O 0.5130 0.8596 0.1459
W 0.9774 0.0058 0.0128
Ba 0.3667 0.8326 0.4556
O 0.5096 0.9551 0.8754
O 0.3626 0.6181 0.1175
O 0.8084 0.9810 0.6951
O 0.6176 0.4006 0.3942
O 0.5837 0.6140 0.4333